[1]
Entry from the Materials Project database: a geometry-optimized Ca5VN5 structure (r2SCAN).

Output
V in A^3/atom: 15.40
Formation enthalpy at 0 K in eV/f.u.: -14.18
Mass density in g/cm³: 3.2
Magnetization in Bohr magnetons per cell: 0.00

Cell: 6.0229 16.5995 6.7758 Å, 90.00 90.00 90.00°
Last column: nearest neighbours and their distance in Å.
Space group Pbcm (No. 57)
Asymmetric unit:
1 Ca 0.0132 0.2368 0.2500 [4 per cell]  5 N 2.36-2.52
2 Ca 0.2104 0.0745 0.0081 [8 per cell]  5 N 2.46-2.53
3 Ca 0.3110 0.5818 0.2500 [4 per cell]  5 N 2.48-2.52
4 Ca 0.4530 0.7500 0.0000 [4 per cell]  4 N 2.37-2.47
5 V 0.2116 0.5934 0.7500 [4 per cell]  4 N 1.81-1.85
6 N 0.0172 0.5105 0.7500 [4 per cell]  1 V 1.81
7 N 0.1393 0.6547 0.5311 [8 per cell]  1 V 1.85
8 N 0.3654 0.1746 0.2500 [4 per cell]  6 Ca 2.36-2.51
9 N 0.4917 0.5523 0.7500 [4 per cell]  1 V 1.82

***

[2]
Entry from the Materials Project database: a geometry-optimized CaZrN2 structure (r2SCAN).

Output
V in A^3/atom: 13.33
Formation enthalpy at 0 K in eV/f.u.: -7.18
Mass density in g/cm³: 5.0
Magnetization in Bohr magnetons per cell: 0.00

Cell: 3.3142 3.3142 16.8201 Å, 90.00 90.00 120.00°
Last column: nearest neighbours and their distance in Å.
Space group R-3m (No. 166, hexagonal axes)
Asymmetric unit:
1 Ca 0.0000 0.0000 0.0000 [3 per cell]  6 N 2.50
2 Zr 0.0000 0.0000 0.5000 [3 per cell]  6 N 2.26
3 N 0.0000 0.0000 0.2381 [6 per cell]  3 Zr 2.26, 3 Ca 2.50

***

[3]
Entry from the Materials Project database: a geometry-optimized NaCaPb2 structure (r2SCAN).

Output
V in A^3/atom: 28.93
Formation enthalpy at 0 K in eV/f.u.: -1.67
Mass density in g/cm³: 6.9
Magnetization in Bohr magnetons per cell: 0.00

Cell: 7.7352 7.7352 7.7352 Å, 90.00 90.00 90.00°
Last column: nearest neighbours and their distance in Å.
Space group Fm-3m (No. 225)
Asymmetric unit:
1 Na 0.0000 0.0000 0.0000 [4 per cell]  8 Pb 3.35
2 Ca 0.0000 0.0000 0.5000 [4 per cell]  8 Pb 3.35
3 Pb 0.2500 0.2500 0.2500 [8 per cell]  4 Na 3.35, 4 Ca 3.35

***

[4]
Entry from the Materials Project database: a geometry-optimized Na10CaSn12 structure (r2SCAN).

Output
V in A^3/atom: 30.59
Formation enthalpy at 0 K in eV/f.u.: -7.54
Mass density in g/cm³: 4.0
Magnetization in Bohr magnetons per cell: 0.00

Cell: 11.2059 11.2059 11.2059 Å, 90.00 90.00 90.00°
Last column: nearest neighbours and their distance in Å.
Space group I-43m (No. 217)
Asymmetric unit:
1 Na 0.0000 0.2500 0.5000 [12 per cell]  4 Sn 3.22
2 Na 0.1932 0.1932 0.8068 [8 per cell]  9 Sn 3.43-3.52, 1 Ca 3.75
3 Ca 0.0000 0.0000 0.0000 [2 per cell]  12 Sn 3.44, 4 Na 3.75
4 Sn 0.0911 0.0911 0.2790 [24 per cell]  3 Sn 2.89-2.98, 2 Na 3.22

***

[5]
Entry from the Materials Project database: a geometry-optimized CaNb2O6 structure (r2SCAN).

Output
V in A^3/atom: 12.82
Formation enthalpy at 0 K in eV/f.u.: -27.10
Mass density in g/cm³: 4.6
Magnetization in Bohr magnetons per cell: 0.00

Cell: 15.0815 5.8197 5.2575 Å, 90.00 90.00 90.00°
Last column: nearest neighbours and their distance in Å.
Space group Pbcn (No. 60)
Asymmetric unit:
1 Ca 0.0000 0.2211 0.2500 [4 per cell]  6 O 2.35-2.42
2 Nb 0.1649 0.3136 0.7006 [8 per cell]  3 O 1.81-1.96
3 O 0.0878 0.0961 0.5942 [8 per cell]  1 Nb 1.81
4 O 0.0989 0.4301 0.9924 [8 per cell]  2 Nb 1.95-2.10
5 O 0.2425 0.3618 0.3755 [8 per cell]  2 Nb 1.96-2.09

***

[6]
Entry from the Materials Project database: a geometry-optimized Ca4Nb2O9 structure (r2SCAN).

Output
V in A^3/atom: 12.99
Formation enthalpy at 0 K in eV/f.u.: -47.63
Mass density in g/cm³: 4.2
Magnetization in Bohr magnetons per cell: 0.00

Cell: 9.8766 5.5505 17.1385 Å, 90.00 123.96 90.00°
Last column: nearest neighbours and their distance in Å.
Space group P2_1/c (No. 14)
Asymmetric unit:
1 Ca 0.0000 0.0000 0.0000 [2 per cell]  6 O 2.26-2.31
2 Ca 0.0448 0.0212 0.3915 [4 per cell]  5 O 2.31-2.58
3 Ca 0.2871 0.5023 0.7709 [4 per cell]  5 O 2.34-2.56
4 Ca 0.3767 0.0166 0.0734 [4 per cell]  5 O 2.28-2.53
5 Ca 0.5000 0.0000 0.5000 [2 per cell]  6 O 2.28-2.30
6 Nb 0.1768 0.5106 0.3372 [4 per cell]  5 O 1.92-2.14
7 Nb 0.3300 0.5082 0.1620 [4 per cell]  5 O 1.94-2.10
8 O 0.0479 0.6981 0.7500 [4 per cell]  2 Nb 2.08-2.19
9 O 0.1256 0.6181 0.4257 [4 per cell]  1 Nb 1.94
10 O 0.1709 0.1707 0.5504 [4 per cell]  1 Nb 1.94
11 O 0.1987 0.7001 0.6291 [4 per cell]  1 Nb 1.95
12 O 0.2219 0.0944 0.7335 [4 per cell]  2 Nb 2.10-2.14, 1 Ca 2.34
13 O 0.2639 0.2079 0.4029 [4 per cell]  1 Nb 1.94
14 O 0.3813 0.6786 0.3988 [4 per cell]  1 Nb 1.92
15 O 0.4446 0.6197 0.1066 [4 per cell]  1 Nb 1.94
16 O 0.4789 0.2113 0.2173 [4 per cell]  2 Nb 2.05-2.18

***

[7]
Entry from the Materials Project database: a geometry-optimized Ca2Nb2O7 structure (r2SCAN).

Output
V in A^3/atom: 12.95
Formation enthalpy at 0 K in eV/f.u.: -34.13
Mass density in g/cm³: 4.4
Magnetization in Bohr magnetons per cell: 0.00

Cell: 7.7311 5.5108 13.5120 Å, 90.00 98.32 90.00°
Last column: nearest neighbours and their distance in Å.
Space group P2_1 (No. 4)
Asymmetric unit:
1 Ca 0.1393 0.0000 0.0659 [2 per cell]  7 O 2.30-2.50
2 Ca 0.2301 0.4192 0.4154 [2 per cell]  6 O 2.32-2.58
3 Ca 0.2833 0.9017 0.6244 [2 per cell]  8 O 2.31-2.57
4 Ca 0.3585 0.4270 0.8974 [2 per cell]  6 O 2.41-2.63
5 Nb 0.0324 0.4164 0.6164 [2 per cell]  5 O 1.87-2.03
6 Nb 0.0789 0.9360 0.8235 [2 per cell]  4 O 1.87-2.02
7 Nb 0.4114 0.4397 0.1737 [2 per cell]  4 O 1.82-2.04
8 Nb 0.4737 0.9158 0.3816 [2 per cell]  5 O 1.87-2.04
9 O 0.0149 0.0943 0.6804 [2 per cell]  2 Nb 1.99-2.11
10 O 0.0516 0.6873 0.5202 [2 per cell]  1 Nb 2.00
11 O 0.0728 0.2070 0.9056 [2 per cell]  1 Nb 1.87
12 O 0.1200 0.6090 0.7257 [2 per cell]  1 Nb 1.87
13 O 0.1377 0.7140 0.9280 [2 per cell]  1 Nb 1.87
14 O 0.1724 0.3280 0.1933 [2 per cell]  2 Nb 2.00-2.01
15 O 0.2222 0.9860 0.3890 [2 per cell]  2 Nb 2.00
16 O 0.2715 0.3111 0.5869 [2 per cell]  2 Nb 2.03-2.04
17 O 0.3270 0.0097 0.8019 [2 per cell]  2 Nb 2.02-2.04
18 O 0.3652 0.7347 0.1149 [2 per cell]  1 Nb 1.82
19 O 0.4135 0.2357 0.0605 [2 per cell]  1 Nb 1.90
20 O 0.4266 0.5909 0.3218 [2 per cell]  2 Nb 1.98-2.15
21 O 0.4592 0.6853 0.5214 [2 per cell]  1 Nb 2.00
22 O 0.4944 0.6066 0.7286 [2 per cell]  1 Nb 1.87

***

[8]
Entry from the Materials Project database: a geometry-optimized CaNb2O4 structure (r2SCAN).

Output
V in A^3/atom: 12.80
Formation enthalpy at 0 K in eV/f.u.: -19.93
Mass density in g/cm³: 5.4
Magnetization in Bohr magnetons per cell: 0.00

Cell: 5.0933 11.9551 5.8843 Å, 90.00 90.00 90.00°
Last column: nearest neighbours and their distance in Å.
Space group Pbcm (No. 57)
Asymmetric unit:
1 Ca 0.1907 0.0038 0.2500 [4 per cell]  6 O 2.28-2.44
2 Nb 0.1593 0.7463 0.2500 [4 per cell]  6 O 2.13-2.18
3 Nb 0.3442 0.2500 0.0000 [4 per cell]  6 O 2.13-2.18
4 O 0.0077 0.1371 0.5045 [8 per cell]  3 Nb 2.16-2.18, 1 Ca 2.38
5 O 0.4858 0.6428 0.7500 [4 per cell]  3 Nb 2.13, 1 Ca 2.31
6 O 0.4937 0.6393 0.2500 [4 per cell]  3 Nb 2.13-2.14, 1 Ca 2.28